First-principles (PBE with a Hubbard U) data for Dy2FeMoO7 after structural relaxation, as listed in the Materials Project database.

Cell lengths 12.5735, 7.2306, 7.2970 Å; angles 90.00, 124.74, 90.00 degrees
Space group C2/m (No. 12)
Unique sites:
Dy 0.0000 0.0000 0.0000 [2 per cell]
Dy 0.0000 0.5000 0.0000 [2 per cell]
Dy 0.2500 0.2500 0.5000 [4 per cell]
Fe 0.2500 0.2500 0.0000 [4 per cell]
Mo 0.0000 0.0000 0.5000 [2 per cell]
Mo 0.0000 0.5000 0.5000 [2 per cell]
O 0.1011 0.0000 0.3708 [4 per cell]
O 0.1107 0.2187 0.6665 [8 per cell]
O 0.1179 0.5000 0.3862 [4 per cell]
O 0.1365 0.2383 0.1077 [8 per cell]
O 0.1632 0.5000 0.8848 [4 per cell]

Output
VASP energy: -331.89 eV/cell
Formation enthalpy at 0 K: -2734 meV per atom
Calculated volume: 12.389 Å³/atom



First-principles (PBE with a Hubbard U) data for NaDyFe4O12 after structural relaxation, as listed in the Materials Project database.

Cell lengths 7.6513, 7.2846, 7.6102 Å; angles 90.00, 90.00, 90.00 degrees
Space group Amm2 (No. 38)
Unique sites:
Na 0.0000 0.0000 0.0000 [2 per cell]
Dy 0.5000 0.0000 0.4656 [2 per cell]
Fe 0.2413 0.2481 0.7365 [8 per cell]
O 0.0000 0.1875 0.2378 [4 per cell]
O 0.1988 0.0000 0.7886 [4 per cell]
O 0.2570 0.1949 0.4887 [8 per cell]
O 0.3169 0.0000 0.2069 [4 per cell]
O 0.5000 0.1905 0.7335 [4 per cell]

Output
VASP energy: -213.82 eV/cell
Formation enthalpy at 0 K: -1388 meV per atom
Calculated volume: 11.782 Å³/atom



First-principles (PBE with a Hubbard U) data for NaPrDyFeO6 after structural relaxation, as listed in the Materials Project database.

Cell lengths 8.0388, 8.0388, 8.0388 Å; angles 90.00, 90.00, 90.00 degrees
Space group F-43m (No. 216)
Unique sites:
Na 0.0000 0.0000 0.0000 [4 per cell]
Pr 0.0000 0.0000 0.5000 [4 per cell]
Dy 0.2500 0.2500 0.7500 [4 per cell]
Fe 0.2500 0.2500 0.2500 [4 per cell]
O 0.0190 0.2500 0.2500 [24 per cell]

Output
VASP energy: -268.54 eV/cell
Formation enthalpy at 0 K: -2464 meV per atom
Calculated volume: 12.987 Å³/atom



First-principles (PBE with a Hubbard U) data for Dy3Fe5O12 after structural relaxation, as listed in the Materials Project database.

Cell lengths 12.5373, 12.5373, 12.5373 Å; angles 90.00, 90.00, 90.00 degrees
Space group Ia-3d (No. 230)
Unique sites:
Dy 0.0000 0.2500 0.1250 [24 per cell]
Fe 0.0000 0.0000 0.0000 [16 per cell]
Fe 0.0000 0.2500 0.3750 [24 per cell]
O 0.0259 0.0577 0.6511 [96 per cell]

Output
VASP energy: -1176.01 eV/cell
Formation enthalpy at 0 K: -2549 meV per atom
Calculated volume: 12.317 Å³/atom



Q: The lowest VASP energy belongs to which entry?
A: Dy3Fe5O12



Q: Which of these has the highest calculated volume?
A: NaPrDyFeO6



Q: The highest VASP energy belongs to which entry?
A: NaDyFe4O12



Q: Which of these has the highest formation enthalpy at 0 K?
A: NaDyFe4O12